Record 1
Crystalline CaPPt at its relaxed geometry. Source: Materials Project, functional PBE-GGA.

a b c (Å): 4.076 4.076 4.213
angles (deg): 90.00 90.00 120.00
Positions (direct):
1 Ca 0.000 0.000 0.000
2 P 0.667 0.333 0.500
3 Pt 0.333 0.667 0.500

Values from the calculation:
- Symmetry: P-6m2 (187)
- Energy: -5.612 eV/atom
- M_tot: 0.000 μB per cell
- Density: 7.290 g/cm³


Record 2
Crystalline CaPPt at its relaxed geometry. Source: Materials Project, functional PBE-GGA.

a b c (Å): 4.389 8.379 6.570
angles (deg): 90.00 90.00 90.00
Positions (direct):
1 Ca 0.000 0.087 0.000
2 Ca 0.000 0.374 0.435
3 Ca 0.000 0.626 0.935
4 Ca 0.000 0.913 0.500
5 P 0.500 0.116 0.317
6 P 0.500 0.428 0.739
7 P 0.500 0.572 0.239
8 P 0.500 0.884 0.817
9 Pt 0.500 0.157 0.684
10 Pt 0.500 0.331 0.067
11 Pt 0.500 0.669 0.567
12 Pt 0.500 0.843 0.184

Values from the calculation:
- Symmetry: Pmc2_1 (26)
- Energy: -5.633 eV/atom
- Density: 7.317 g/cm³


Record 3
Crystalline CaP2Rh2 at its relaxed geometry. Source: Materials Project, functional PBE-GGA.

a b c (Å): 5.637 5.637 5.637
angles (deg): 137.78 137.78 61.23
Positions (direct):
1 Ca 0.000 0.000 0.000
2 P 0.384 0.384 0.000
3 P 0.616 0.616 0.000
4 Rh 0.250 0.750 0.500
5 Rh 0.750 0.250 0.500

Values from the calculation:
- Symmetry: I4/mmm (139)
- Energy: -6.472 eV/atom
- Density: 6.391 g/cm³


- The lowest density belongs to which entry?
  CaP2Rh2


Copy entry 3 word for word.
Crystalline CaP2Rh2 at its relaxed geometry. Source: Materials Project, functional PBE-GGA.

a b c (Å): 5.637 5.637 5.637
angles (deg): 137.78 137.78 61.23
Positions (direct):
1 Ca 0.000 0.000 0.000
2 P 0.384 0.384 0.000
3 P 0.616 0.616 0.000
4 Rh 0.250 0.750 0.500
5 Rh 0.750 0.250 0.500

Values from the calculation:
- Symmetry: I4/mmm (139)
- Energy: -6.472 eV/atom
- Density: 6.391 g/cm³